Here is a geometry-optimized NaLaHfTiO6 structure from the Materials Project. Energies are from GGA-PBE.

## Properties
calculated total energy = -84.6 eV/f.u.
space group = F-43m (216)
calculated density = 6258 kg/m³
crystal system = cubic

Unit cell a=5.6641 b=5.6641 c=5.6641 alpha=60.00 beta=60.00 gamma=60.00
Atoms (fractional coordinates):
Na: 0.2500 0.2500 0.2500
La: 0.7500 0.7500 0.7500
Hf: 0.0000 0.0000 0.0000
Ti: 0.5000 0.5000 0.5000
O: 0.7438 0.2562 0.2562
O: 0.2562 0.7438 0.7438
O: 0.7438 0.2562 0.7438
O: 0.2562 0.7438 0.2562
O: 0.7438 0.7438 0.2562
O: 0.2562 0.2562 0.7438

Here is a geometry-optimized Ca2SiO4 structure from the Materials Project. Energies are from GGA-PBE.

## Properties
relative energy among the computed polymorphs = 98 meV/atom
calculated total energy = -50.1 eV/f.u.
space group = C2 (5)
calculated density = 3035 kg/m³
crystal system = monoclinic

Unit cell a=5.7625 b=5.7625 c=6.8826 alpha=86.61 beta=86.61 gamma=55.75
Atoms (fractional coordinates):
Ca: 0.6295 0.7241 0.3209
Ca: 0.2759 0.3705 0.6791
Ca: 0.9735 0.0265 0.5000
Ca: 0.0487 0.9513 0.0000
Si: 0.6569 0.6749 0.7939
Si: 0.3251 0.3431 0.2061
O: 0.3923 0.7853 0.6484
O: 0.8926 0.3382 0.7487
O: 0.7986 0.8501 0.7180
O: 0.6618 0.1074 0.2513
O: 0.2147 0.6077 0.3516
O: 0.1499 0.2014 0.2820
O: 0.5376 0.7428 0.0164
O: 0.2572 0.4624 0.9836

Here is a geometry-optimized FeH16C4N2Cl5 structure from the Materials Project. Energies are from GGA-PBE.

## Properties
calculated total energy = -137.0 eV/f.u.
space group = P2_1/c (14)
calculated density = 1174 kg/m³
crystal system = monoclinic

Unit cell a=10.8595 b=16.0219 c=11.5286 alpha=90.00 beta=113.39 gamma=90.00
Atoms (fractional coordinates):
Fe: 0.2352 0.8762 0.3606
Fe: 0.7648 0.3762 0.1394
Fe: 0.7648 0.1238 0.6394
Fe: 0.2352 0.6238 0.8606
H: 0.6075 0.7240 0.3277
H: 0.3925 0.2240 0.1723
H: 0.3925 0.2760 0.6723
H: 0.6075 0.7760 0.8277
H: 0.6076 0.7790 0.2015
H: 0.3924 0.2790 0.2985
H: 0.3924 0.2210 0.7985
H: 0.6076 0.7210 0.7015
H: 0.6478 0.0955 0.0421
H: 0.3522 0.5955 0.4579
H: 0.3522 0.9045 0.9579
H: 0.6478 0.4045 0.5421
H: 0.6808 0.9932 0.0587
H: 0.3192 0.4932 0.4413
H: 0.3192 0.0068 0.9413
H: 0.6808 0.5068 0.5587
H: 0.8353 0.8197 0.3157
H: 0.1647 0.3197 0.1843
H: 0.1647 0.1803 0.6843
H: 0.8353 0.6803 0.8157
H: 0.7298 0.8501 0.3957
H: 0.2702 0.3501 0.1043
H: 0.2702 0.1499 0.6043
H: 0.7298 0.6499 0.8957
H: 0.8369 0.7604 0.4487
H: 0.1631 0.2604 0.0513
H: 0.1631 0.2396 0.5513
H: 0.8369 0.7396 0.9487
H: 0.7788 0.6331 0.3182
H: 0.2212 0.1331 0.1818
H: 0.2212 0.3669 0.6818
H: 0.7788 0.8669 0.8182
H: 0.6282 0.6316 0.1769
H: 0.3718 0.1316 0.3231
H: 0.3718 0.3684 0.8231
H: 0.6282 0.8684 0.6769
H: 0.7714 0.6894 0.1807
H: 0.2286 0.1894 0.3193
H: 0.2286 0.3106 0.8193
H: 0.7714 0.8106 0.6807
H: 0.7852 0.1213 0.2621
H: 0.2148 0.6213 0.2379
H: 0.2148 0.8787 0.7379
H: 0.7852 0.3787 0.7621
H: 0.6516 0.0487 0.2373
H: 0.3484 0.5487 0.2627
H: 0.3484 0.9513 0.7627
H: 0.6516 0.4513 0.7373
H: 0.8204 0.0118 0.2801
H: 0.1796 0.5118 0.2199
H: 0.1796 0.9882 0.7199
H: 0.8204 0.4882 0.7801
H: 0.9157 0.0153 0.1148
H: 0.0843 0.5153 0.3852
H: 0.0843 0.9847 0.8852
H: 0.9157 0.4847 0.6148
H: 0.8179 0.0640 0.9652
H: 0.1821 0.5640 0.5348
H: 0.1821 0.9360 0.0348
H: 0.8179 0.4360 0.4652
H: 0.8882 0.1260 0.1052
H: 0.1118 0.6260 0.3948
H: 0.1118 0.8740 0.8948
H: 0.8882 0.3740 0.6052
C: 0.7753 0.7977 0.3666
C: 0.2247 0.2977 0.1334
C: 0.2247 0.2023 0.6334
C: 0.7753 0.7023 0.8666
C: 0.7148 0.6688 0.2355
C: 0.2852 0.1688 0.2645
C: 0.2852 0.3312 0.7645
C: 0.7148 0.8312 0.7355
C: 0.7465 0.0590 0.2278
C: 0.2535 0.5590 0.2722
C: 0.2535 0.9410 0.7722
C: 0.7465 0.4410 0.7278
C: 0.8447 0.0653 0.0671
C: 0.1553 0.5653 0.4329
C: 0.1553 0.9347 0.9329
C: 0.8447 0.4347 0.5671
N: 0.6655 0.7439 0.2800
N: 0.3345 0.2439 0.2200
N: 0.3345 0.2561 0.7200
N: 0.6655 0.7561 0.7800
N: 0.7216 0.0525 0.0916
N: 0.2784 0.5525 0.4084
N: 0.2784 0.9475 0.9084
N: 0.7216 0.4475 0.5916
Cl: 0.1588 0.9924 0.4110
Cl: 0.8412 0.4924 0.0890
Cl: 0.8412 0.0076 0.5890
Cl: 0.1588 0.5076 0.9110
Cl: 0.3077 0.7908 0.5237
Cl: 0.6923 0.2908 0.9763
Cl: 0.6923 0.2092 0.4763
Cl: 0.3077 0.7092 0.0237
Cl: 0.0662 0.8170 0.2037
Cl: 0.9338 0.3170 0.2963
Cl: 0.9338 0.1830 0.7963
Cl: 0.0662 0.6830 0.7037
Cl: 0.3990 0.9054 0.2993
Cl: 0.6010 0.4054 0.2007
Cl: 0.6010 0.0946 0.7007
Cl: 0.3990 0.5946 0.7993
Cl: 0.6002 0.8663 0.0143
Cl: 0.3998 0.3663 0.4857
Cl: 0.3998 0.1337 0.9857
Cl: 0.6002 0.6337 0.5143

Here is a geometry-optimized HoMgCd2 structure from the Materials Project. Energies are from GGA-PBE.

## Properties
calculated total energy = -9.2 eV/f.u.
space group = Fm-3m (225)
calculated density = 7410 kg/m³
crystal system = cubic

Unit cell a=5.0817 b=5.0817 c=5.0817 alpha=60.00 beta=60.00 gamma=60.00
Atoms (fractional coordinates):
Ho: 0.5000 0.5000 0.5000
Mg: 0.0000 0.0000 0.0000
Cd: 0.7500 0.7500 0.7500
Cd: 0.2500 0.2500 0.2500

Here is a geometry-optimized NaFeN structure from the Materials Project. Energies are from GGA-PBE.

## Properties
relative energy among the computed polymorphs = 173 meV/atom
calculated total energy = -17.8 eV/f.u.
space group = C2/m (12)
calculated density = 3445 kg/m³
crystal system = monoclinic

Unit cell a=3.4695 b=5.1097 c=5.1097 alpha=81.09 beta=90.04 gamma=90.04
Atoms (fractional coordinates):
Na: 0.5029 0.2863 0.2863
Na: 0.4971 0.7137 0.7137
Fe: 0.0000 0.1733 0.8267
Fe: 0.0000 0.8267 0.1733
N: 0.5000 0.7893 0.2107
N: 0.5000 0.2107 0.7893

Here is a geometry-optimized TbPr3 structure from the Materials Project. Energies are from GGA-PBE.

## Properties
calculated total energy = -18.8 eV/f.u.
space group = P6_3/mmc (194)
calculated density = 6762 kg/m³
crystal system = hexagonal

Unit cell a=7.3797 b=7.3797 c=6.0572 alpha=90.00 beta=90.00 gamma=120.00
Atoms (fractional coordinates):
Tb: 0.3333 0.6667 0.7500
Tb: 0.6667 0.3333 0.2500
Pr: 0.1678 0.3355 0.2500
Pr: 0.6645 0.8322 0.2500
Pr: 0.1678 0.8322 0.2500
Pr: 0.8322 0.6645 0.7500
Pr: 0.3355 0.1678 0.7500
Pr: 0.8322 0.1678 0.7500

Here is a geometry-optimized HfScPS2O12 structure from the Materials Project. Energies are from GGA-PBE.

## Properties
calculated total energy = -128.7 eV/f.u.
space group = Cc (9)
calculated density = 3257 kg/m³
crystal system = monoclinic

Unit cell a=8.8839 b=8.8758 c=22.8798 alpha=90.07 beta=90.00 gamma=120.03
Atoms (fractional coordinates):
Hf: 0.0018 0.9995 0.6442
Hf: 0.9977 0.9995 0.1442
Hf: 0.6641 0.3316 0.9775
Hf: 0.6676 0.3316 0.4775
Hf: 0.3410 0.6605 0.3109
Hf: 0.3194 0.6605 0.8109
Sc: 0.9996 0.9980 0.3552
Sc: 0.9984 0.9980 0.8552
Sc: 0.6823 0.3414 0.6885
Sc: 0.6590 0.3414 0.1885
Sc: 0.3276 0.6512 0.0218
Sc: 0.3236 0.6512 0.5218
P: 0.7156 0.7129 0.2504
P: 0.9973 0.7129 0.7504
P: 0.9554 0.3333 0.5835
P: 0.3780 0.3333 0.0835
P: 0.0431 0.3741 0.9172
P: 0.3309 0.3741 0.4172
S: 0.2896 0.9998 0.2505
S: 0.9966 0.2881 0.2503
S: 0.2915 0.2881 0.7503
S: 0.7101 0.9998 0.7505
S: 0.3795 0.0431 0.5839
S: 0.6648 0.6215 0.5837
S: 0.9567 0.6215 0.0837
S: 0.6636 0.0431 0.0839
S: 0.6226 0.6684 0.9167
S: 0.3315 0.9539 0.9173
S: 0.6224 0.9539 0.4173
S: 0.0458 0.6684 0.4167
O: 0.2101 0.0294 0.3022
O: 0.8265 0.7992 0.3044
O: 0.9720 0.1817 0.3022
O: 0.2097 0.1817 0.8022
O: 0.9727 0.7992 0.8044
O: 0.8193 0.0294 0.8022
O: 0.7919 0.9702 0.6977
O: 0.1781 0.2092 0.6976
O: 0.0292 0.8293 0.6957
O: 0.8000 0.8293 0.1957
O: 0.0311 0.2092 0.1976
O: 0.1783 0.9702 0.1977
O: 0.8692 0.3608 0.6371
O: 0.4848 0.1251 0.6359
O: 0.6361 0.5138 0.6355
O: 0.8776 0.5138 0.1355
O: 0.6403 0.1251 0.1359
O: 0.4916 0.3608 0.1371
O: 0.4657 0.3035 0.0291
O: 0.8451 0.5419 0.0310
O: 0.6972 0.1554 0.0309
O: 0.4582 0.1554 0.5309
O: 0.6969 0.5419 0.5310
O: 0.8378 0.3035 0.5291
O: 0.5439 0.6967 0.9689
O: 0.1579 0.4633 0.9704
O: 0.3065 0.8483 0.9692
O: 0.5418 0.8483 0.4692
O: 0.3054 0.4633 0.4704
O: 0.1528 0.6967 0.4689
O: 0.1250 0.6374 0.3641
O: 0.5109 0.8759 0.3643
O: 0.3630 0.4942 0.3628
O: 0.1313 0.4942 0.8628
O: 0.3650 0.8759 0.8643
O: 0.5124 0.6374 0.8641
O: 0.0235 0.8195 0.4084
O: 0.7953 0.9768 0.4080
O: 0.1735 0.1962 0.4058
O: 0.0227 0.1962 0.9058
O: 0.1815 0.9768 0.9080
O: 0.7960 0.8195 0.9084
O: 0.9745 0.1709 0.5940
O: 0.2042 0.0270 0.5916
O: 0.8230 0.7964 0.5918
O: 0.9734 0.7964 0.0918
O: 0.8228 0.0270 0.0916
O: 0.1964 0.1709 0.0940
O: 0.6881 0.1508 0.7414
O: 0.4628 0.3086 0.7406
O: 0.8410 0.5324 0.7408
O: 0.6914 0.5324 0.2408
O: 0.8458 0.3086 0.2406
O: 0.4627 0.1508 0.2414
O: 0.6408 0.5110 0.9253
O: 0.8630 0.3587 0.9274
O: 0.4899 0.1296 0.9249
O: 0.6397 0.1296 0.4249
O: 0.4957 0.3587 0.4274
O: 0.8702 0.5110 0.4253
O: 0.3581 0.4924 0.0741
O: 0.1302 0.6457 0.0747
O: 0.5133 0.8711 0.0739
O: 0.3578 0.8711 0.5739
O: 0.5155 0.6457 0.5747
O: 0.1343 0.4924 0.5741
O: 0.3055 0.8423 0.2591
O: 0.5326 0.6944 0.2592
O: 0.1546 0.4637 0.2585
O: 0.3091 0.4637 0.7585
O: 0.1617 0.6944 0.7592
O: 0.5368 0.8423 0.7591

Here is a geometry-optimized TmZrOs2 structure from the Materials Project. Energies are from GGA-PBE.

## Properties
calculated total energy = -36.9 eV/f.u.
space group = Fm-3m (225)
calculated density = 14503 kg/m³
crystal system = cubic

Unit cell a=4.6986 b=4.6986 c=4.6986 alpha=60.00 beta=60.00 gamma=60.00
Atoms (fractional coordinates):
Tm: 0.5000 0.5000 0.5000
Zr: 0.0000 0.0000 0.0000
Os: 0.2500 0.2500 0.2500
Os: 0.7500 0.7500 0.7500

Here is a geometry-optimized CaSn2O4 structure from the Materials Project. Energies are from GGA-PBE.

## Properties
relative energy among the computed polymorphs = 92 meV/atom
calculated total energy = -42.6 eV/f.u.
space group = C2/m (12)
calculated density = 5196 kg/m³
crystal system = monoclinic

Unit cell a=7.4104 b=7.4104 c=10.9518 alpha=57.50 beta=57.50 gamma=25.78
Atoms (fractional coordinates):
Ca: 0.6753 0.6753 0.7959
Ca: 0.3247 0.3247 0.2041
Sn: 0.3614 0.3614 0.8585
Sn: 0.8865 0.8865 0.4334
Sn: 0.1135 0.1135 0.5666
Sn: 0.6386 0.6386 0.1415
O: 0.1464 0.1464 0.2494
O: 0.5266 0.5266 0.7704
O: 0.4734 0.4734 0.2296
O: 0.8536 0.8536 0.7506
O: 0.8234 0.8234 0.0237
O: 0.2318 0.2318 0.6269
O: 0.1766 0.1766 0.9763
O: 0.7682 0.7682 0.3731

Here is a geometry-optimized BaCaHfNbO6 structure from the Materials Project. Energies are from GGA-PBE.

## Properties
calculated total energy = -83.4 eV/f.u.
space group = F-43m (216)
calculated density = 6418 kg/m³
crystal system = cubic

Unit cell a=5.8417 b=5.8417 c=5.8417 alpha=60.00 beta=60.00 gamma=60.00
Atoms (fractional coordinates):
Ba: 0.2500 0.2500 0.2500
Ca: 0.7500 0.7500 0.7500
Hf: 0.0000 0.0000 0.0000
Nb: 0.5000 0.5000 0.5000
O: 0.7482 0.2518 0.2518
O: 0.2518 0.7482 0.7482
O: 0.7482 0.2518 0.7482
O: 0.2518 0.7482 0.2518
O: 0.7482 0.7482 0.2518
O: 0.2518 0.2518 0.7482

Here is a geometry-optimized Mg30BiBO32 structure from the Materials Project. Energies are from GGA-PBE.

## Properties
relative energy among the computed polymorphs = 57 meV/atom
calculated total energy = -375.7 eV/f.u.
space group = P4/mmm (123)
calculated density = 3793 kg/m³
crystal system = tetragonal

Unit cell a=8.6126 b=8.6126 c=8.6228 alpha=90.00 beta=90.00 gamma=90.00
Atoms (fractional coordinates):
Mg: 0.0000 0.5000 0.0000
Mg: 0.0000 0.5000 0.5000
Mg: 0.5000 0.0000 0.0000
Mg: 0.5000 0.0000 0.5000
Mg: 0.5000 0.5000 0.0000
Mg: 0.5000 0.5000 0.5000
Mg: 0.0000 0.2546 0.2395
Mg: 0.0000 0.2546 0.7605
Mg: 0.0000 0.7454 0.2395
Mg: 0.0000 0.7454 0.7605
Mg: 0.5000 0.2500 0.2483
Mg: 0.5000 0.2500 0.7517
Mg: 0.5000 0.7500 0.2483
Mg: 0.5000 0.7500 0.7517
Mg: 0.2546 0.0000 0.2395
Mg: 0.2546 0.0000 0.7605
Mg: 0.2500 0.5000 0.2483
Mg: 0.2500 0.5000 0.7517
Mg: 0.7454 0.0000 0.2395
Mg: 0.7454 0.0000 0.7605
Mg: 0.7500 0.5000 0.2483
Mg: 0.7500 0.5000 0.7517
Mg: 0.2479 0.2479 0.0000
Mg: 0.2566 0.2566 0.5000
Mg: 0.2479 0.7521 0.0000
Mg: 0.2566 0.7434 0.5000
Mg: 0.7521 0.2479 0.0000
Mg: 0.7434 0.2566 0.5000
Mg: 0.7521 0.7521 0.0000
Mg: 0.7434 0.7434 0.5000
Bi: 0.0000 0.0000 0.5000
B: 0.0000 0.0000 0.0000
O: 0.2672 0.0000 0.0000
O: 0.2673 0.0000 0.5000
O: 0.2524 0.5000 0.0000
O: 0.2526 0.5000 0.5000
O: 0.7328 0.0000 0.0000
O: 0.7327 0.0000 0.5000
O: 0.7476 0.5000 0.0000
O: 0.7474 0.5000 0.5000
O: 0.2487 0.2487 0.2514
O: 0.2487 0.2487 0.7486
O: 0.2487 0.7513 0.2514
O: 0.2487 0.7513 0.7486
O: 0.7513 0.2487 0.2514
O: 0.7513 0.2487 0.7486
O: 0.7513 0.7513 0.2514
O: 0.7513 0.7513 0.7486
O: 0.0000 0.0000 0.2369
O: 0.0000 0.0000 0.7631
O: 0.0000 0.5000 0.2507
O: 0.0000 0.5000 0.7493
O: 0.5000 0.0000 0.2507
O: 0.5000 0.0000 0.7493
O: 0.5000 0.5000 0.2508
O: 0.5000 0.5000 0.7492
O: 0.0000 0.2672 0.0000
O: 0.0000 0.2673 0.5000
O: 0.0000 0.7328 0.0000
O: 0.0000 0.7327 0.5000
O: 0.5000 0.2524 0.0000
O: 0.5000 0.2526 0.5000
O: 0.5000 0.7476 0.0000
O: 0.5000 0.7474 0.5000